# 1
# LiMnPO4

A relaxed LiMnPO4 crystal (PBE with a Hubbard U, the Materials Project database).

Results
As for the formation enthalpy at 0 K: -2.54 eV/atom.

abc: 7.6302 4.9802 18.8973
angles: 90.00 91.24 90.00
With the nearest neighbours (Å) after each atom.
Space group P2_1/c (No. 14)
Unique sites:
Li1 0.0023 0.1707 0.1818 (multiplicity 4)  3 O 1.97-2.13
Li2 0.4759 0.2412 0.0885 (multiplicity 4)  1 O 1.97
Mn1 0.1733 0.7227 0.5194 (multiplicity 4)  4 O 2.07-2.12
Mn2 0.3244 0.2289 0.2732 (multiplicity 4)  4 O 2.06-2.12
P1 0.2501 0.2296 0.9357 (multiplicity 4)  4 O 1.55-1.57
P2 0.2515 0.6759 0.1837 (multiplicity 4)  4 O 1.54-1.56
O1 0.0589 0.1135 0.9304 (multiplicity 4)  1 P 1.57
O2 0.0971 0.5290 0.2203 (multiplicity 4)  1 P 1.56
O3 0.2310 0.5137 0.6888 (multiplicity 4)  1 P 1.56
O4 0.2536 0.5419 0.9322 (multiplicity 4)  1 P 1.56
O5 0.2767 0.5790 0.1070 (multiplicity 4)  1 P 1.54
O6 0.3294 0.1265 0.0070 (multiplicity 4)  1 P 1.55
O7 0.3522 0.1085 0.8733 (multiplicity 4)  1 P 1.55
O8 0.4186 0.5867 0.2271 (multiplicity 4)  1 P 1.56

# 2
# LiMnPO4

A relaxed LiMnPO4 crystal (PBE with a Hubbard U, the Materials Project database).

Results
As for the formation enthalpy at 0 K: -2.56 eV/atom.

abc: 5.9812 10.2922 10.0973
angles: 90.00 93.56 90.00
With the nearest neighbours (Å) after each atom.
Space group P2_1/c (No. 14)
Unique sites:
Li1 0.1286 0.0923 0.2199 (multiplicity 4)  2 O 1.88-1.90
Li2 0.3581 0.6018 0.5222 (multiplicity 4)  4 O 1.95-2.12
Mn1 0.1264 0.6453 0.8585 (multiplicity 4)  7 O 2.22-2.45
Mn2 0.3786 0.1692 0.6320 (multiplicity 4)  6 O 2.17-2.34
P1 0.1252 0.1457 0.9025 (multiplicity 4)  4 O 1.52-1.57
P2 0.3700 0.6081 0.1531 (multiplicity 4)  4 O 1.56-1.58
O1 0.0964 0.5712 0.6333 (multiplicity 4)  1 P 1.55
O2 0.0988 0.2313 0.0286 (multiplicity 4)  1 P 1.56
O3 0.1516 0.2346 0.7783 (multiplicity 4)  1 P 1.57
O4 0.1592 0.5183 0.1362 (multiplicity 4)  1 P 1.56
O5 0.3322 0.0602 0.9231 (multiplicity 4)  1 P 1.52
O6 0.3612 0.7015 0.2744 (multiplicity 4)  1 P 1.56
O7 0.3797 0.6923 0.0230 (multiplicity 4)  1 P 1.58
O8 0.4197 0.0174 0.3324 (multiplicity 4)  1 P 1.57

Number 1: energy -7.096 eV/atom. Number 2: energy -7.109 eV/atom.